Na10La2Nb6Si11SO48 PBE optimized geometry; electronic total energy = -7.459 eV per atom; space group = P1, No. 1; total magnetic moment = 0.00 μB/f.u.
1.0
9.184 0.000 0.000
-0.020 15.961 0.000
-0.013 -0.098 22.905
Na La Nb Si S O
30 6 18 33 3 144
direct
0.000 0.000 0.000
0.002 0.031 0.668
0.009 0.340 0.332
0.016 0.660 0.664
0.154 0.860 0.496
0.196 0.847 0.167
0.299 0.340 0.916
0.317 0.351 0.417
0.318 0.670 0.748
0.323 0.665 0.247
0.333 0.024 0.086
0.348 0.017 0.573
0.447 0.841 0.662
0.486 0.192 0.331
0.497 0.864 0.001
0.509 0.839 0.332
0.515 0.164 0.664
0.522 0.494 0.000
0.629 0.660 0.165
0.635 0.330 0.835
0.653 0.361 0.495
0.655 0.693 0.834
0.815 0.849 0.417
0.827 0.175 0.753
0.827 0.505 0.079
0.830 0.171 0.243
0.835 0.519 0.576
0.835 0.842 0.916
0.946 0.342 0.664
0.987 0.691 0.332
0.313 0.680 0.103
0.330 0.017 0.425
0.330 0.672 0.604
0.820 0.179 0.600
0.826 0.508 0.928
0.833 0.517 0.424
0.316 0.340 0.564
0.318 0.344 0.771
0.319 0.686 0.394
0.322 0.020 0.935
0.323 0.012 0.731
0.323 0.017 0.229
0.323 0.344 0.263
0.324 0.689 0.892
0.328 0.336 0.065
0.815 0.838 0.564
0.817 0.187 0.394
0.819 0.511 0.731
0.820 0.845 0.062
0.821 0.178 0.104
0.824 0.179 0.895
0.824 0.509 0.228
0.825 0.852 0.265
0.830 0.852 0.774
0.020 0.684 0.503
0.033 0.346 0.163
0.034 0.016 0.833
0.107 0.182 0.999
0.107 0.853 0.667
0.129 0.512 0.328
0.168 0.165 0.329
0.169 0.865 0.331
0.170 0.484 0.669
0.171 0.831 0.998
0.189 0.196 0.669
0.470 0.158 0.832
0.471 0.872 0.834
0.472 0.196 0.167
0.476 0.827 0.502
0.477 0.485 0.164
0.515 0.184 0.502
0.517 0.514 0.833
0.533 0.854 0.166
0.606 0.353 0.668
0.621 0.682 0.000
0.627 0.014 0.330
0.664 0.365 0.333
0.670 0.666 0.327
0.671 0.984 0.669
0.673 0.319 0.001
0.675 0.037 0.000
0.689 0.700 0.673
0.954 0.699 0.167
0.971 0.358 0.830
0.972 0.992 0.163
0.975 0.662 0.830
0.980 0.329 0.501
0.188 0.524 0.996
0.461 0.524 0.495
0.960 0.024 0.498
0.000 0.161 0.055
0.000 0.194 0.942
0.001 0.839 0.317
0.003 0.530 0.277
0.005 0.863 0.607
0.016 0.184 0.671
0.032 0.509 0.993
0.049 0.474 0.384
0.107 0.678 0.564
0.118 0.008 0.493
0.129 0.700 0.172
0.136 0.332 0.220
0.141 0.026 0.775
0.142 0.338 0.817
0.143 0.006 0.889
0.144 0.690 0.445
0.147 0.358 0.108
0.150 0.995 0.172
0.153 0.669 0.841
0.160 0.332 0.503
0.174 0.908 0.394
0.207 0.939 0.673
0.208 0.771 0.671
0.209 0.097 0.276
0.209 0.097 0.990
0.211 0.265 0.008
0.214 0.427 0.610
0.214 0.601 0.340
0.215 0.567 0.051
0.217 0.764 0.945
0.224 0.260 0.315
0.228 0.579 0.674
0.232 0.429 0.723
0.239 0.435 0.311
0.240 0.925 0.983
0.242 0.255 0.722
0.244 0.575 0.946
0.251 0.807 0.058
0.254 0.245 0.608
0.256 0.771 0.338
0.256 0.916 0.278
0.265 0.141 0.384
0.272 0.443 0.996
0.273 0.105 0.671
0.381 0.443 0.496
0.390 0.105 0.172
0.395 0.777 0.842
0.396 0.109 0.887
0.396 0.916 0.496
0.397 0.246 0.111
0.397 0.916 0.776
0.403 0.109 0.497
0.406 0.574 0.445
0.407 0.253 0.828
0.410 0.428 0.216
0.413 0.434 0.817
0.416 0.580 0.170
0.420 0.788 0.563
0.426 0.937 0.172
0.427 0.764 0.444
0.431 0.604 0.839
0.432 0.251 0.225
0.432 0.929 0.891
0.433 0.098 0.774
0.433 0.431 0.104
0.435 0.770 0.171
0.438 0.279 0.502
0.441 0.567 0.551
0.492 0.325 0.007
0.492 0.672 0.339
0.492 0.990 0.672
0.496 0.338 0.319
0.498 0.022 0.992
0.500 0.692 0.944
0.501 0.031 0.278
0.501 0.342 0.725
0.504 0.359 0.608
0.515 0.698 0.675
0.533 0.674 0.061
0.546 0.976 0.386
0.592 0.484 0.893
0.597 0.175 0.564
0.619 0.507 0.491
0.638 0.860 0.107
0.643 0.190 0.446
0.644 0.851 0.221
0.645 0.852 0.830
0.647 0.166 0.840
0.647 0.529 0.782
0.648 0.187 0.160
0.656 0.490 0.173
0.657 0.831 0.504
0.672 0.408 0.395
0.707 0.439 0.674
0.708 0.599 0.273
0.710 0.774 0.002
0.711 0.926 0.610
0.712 0.103 0.340
0.712 0.272 0.671
0.713 0.092 0.058
0.713 0.266 0.940
0.721 0.600 0.996
0.722 0.764 0.315
0.732 0.934 0.726
0.734 0.414 0.005
0.736 0.759 0.728
0.740 0.264 0.055
0.742 0.939 0.315
0.746 0.075 0.671
0.752 0.943 0.006
0.754 0.083 0.944
0.754 0.272 0.338
0.756 0.418 0.282
0.757 0.748 0.612
0.769 0.642 0.382
0.774 0.610 0.674
0.874 0.607 0.170
0.876 0.270 0.834
0.878 0.634 0.885
0.881 0.943 0.497
0.889 0.413 0.776
0.890 0.751 0.108
0.896 0.417 0.495
0.897 0.084 0.158
0.902 0.756 0.222
0.905 0.077 0.449
0.906 0.609 0.497
0.908 0.941 0.218
0.913 0.757 0.818
0.926 0.291 0.562
0.927 0.265 0.444
0.928 0.263 0.154
0.931 0.099 0.841
0.931 0.932 0.828
0.934 0.431 0.175
0.938 0.778 0.503
0.938 0.932 0.105
0.939 0.064 0.555
0.940 0.597 0.774
0.972 0.409 0.890
0.989 0.487 0.672
0.990 0.171 0.339
0.993 0.841 0.002
0.993 0.852 0.721